1.
! MgCrCo3O8 | the Materials Project database | GGA+U | relaxed; values from VASP
&SYSTEM
  ibrav = 0, nat = 13, ntyp = 4
/
ATOMIC_SPECIES
Mg 24.30 Mg.upf
Cr 52.00 Cr.upf
Co 58.93 Co.upf
O 16.00 O.upf
CELL_PARAMETERS angstrom
5.814 0.000 0.000
-0.058 5.827 0.000
-2.842 -2.851 4.277
ATOMIC_POSITIONS angstrom
Mg 0.000 0.000 0.000
Cr 0.018 -1.357 3.175
Co -0.012 1.508 3.194
Co 1.452 2.928 1.023
Co 4.296 2.949 1.037
O -1.331 2.926 3.067
O -0.038 4.253 1.174
O 0.036 1.612 1.221
O -1.269 0.157 3.270
O 2.750 4.265 0.806
O 1.279 2.954 3.109
O 2.834 1.661 0.883
O 1.269 0.192 3.311
! Crystal system = triclinic
! Polymorph energy (0 for the lowest one) = 0.065 eV per atom
! Symmetry = No. 1


2.
! Mn2TeSO8 | the Materials Project database | GGA+U | relaxed; values from VASP
&SYSTEM
  ibrav = 0, nat = 48, ntyp = 4
/
ATOMIC_SPECIES
Mn 54.94 Mn.upf
Te 127.60 Te.upf
S 32.06 S.upf
O 16.00 O.upf
CELL_PARAMETERS angstrom
7.390 0.000 0.000
0.000 9.927 0.000
0.000 0.000 8.604
ATOMIC_POSITIONS angstrom
Mn 1.337 0.865 0.430
Mn 1.337 0.865 3.872
Mn 1.337 4.098 4.733
Mn 1.337 4.098 8.174
Mn 6.053 5.829 0.430
Mn 6.053 5.829 3.872
Mn 6.053 9.062 4.733
Mn 6.053 9.062 8.174
Te 1.091 7.136 6.453
Te 1.091 7.755 2.151
Te 6.300 2.172 6.453
Te 6.300 2.791 2.151
S 3.294 0.307 6.453
S 3.294 4.657 2.151
S 4.096 5.270 6.453
S 4.096 9.620 2.151
O 0.420 1.618 2.151
O 0.420 3.345 6.453
O 0.504 5.976 5.033
O 0.504 5.976 7.874
O 0.504 8.915 0.731
O 0.504 8.915 3.572
O 2.049 2.482 0.000
O 2.049 2.482 4.302
O 2.526 5.128 0.949
O 2.526 5.128 3.353
O 2.526 9.762 5.251
O 2.526 9.762 7.656
O 2.762 0.421 2.151
O 2.762 4.543 6.453
O 3.557 1.731 6.453
O 3.557 3.233 2.151
O 3.833 6.694 6.453
O 3.833 8.196 2.151
O 4.629 5.384 2.151
O 4.629 9.506 6.453
O 4.865 0.164 0.949
O 4.865 0.164 3.353
O 4.865 4.799 5.251
O 4.865 4.799 7.656
O 5.341 7.445 0.000
O 5.341 7.445 4.302
O 6.886 1.012 5.033
O 6.886 1.012 7.874
O 6.886 3.951 0.731
O 6.886 3.951 3.572
O 6.970 6.582 2.151
O 6.970 8.309 6.453
! Crystal system = orthorhombic
! Symmetry = No. 57


3.
! Li4V3P8O29 | the Materials Project database | GGA+U | relaxed; values from VASP
&SYSTEM
  ibrav = 0, nat = 88, ntyp = 4
/
ATOMIC_SPECIES
Li 6.94 Li.upf
V 50.94 V.upf
P 30.97 P.upf
O 16.00 O.upf
CELL_PARAMETERS angstrom
9.775 0.000 0.000
4.874 8.495 0.000
0.058 0.070 14.235
ATOMIC_POSITIONS angstrom
Li 0.000 0.000 0.000
Li 2.323 3.922 7.317
Li 5.545 7.331 7.252
Li 5.557 5.828 1.657
Li 10.022 7.377 0.053
Li 5.946 0.049 7.197
Li 10.092 5.860 8.935
Li 10.841 4.712 1.717
V 5.075 2.956 11.622
V 7.154 6.590 4.488
V 5.741 1.809 4.412
V 8.532 6.649 11.563
V 9.956 1.834 11.557
V 10.627 2.892 4.481
P 0.062 0.072 3.115
P 2.303 3.933 10.351
P 3.660 3.932 3.171
P 5.663 7.402 10.309
P 4.907 4.627 5.783
P 5.674 5.870 12.843
P 2.978 0.975 13.311
P 2.975 0.950 6.168
P 7.855 3.804 9.886
P 7.860 3.780 2.779
P 10.016 7.352 3.212
P 5.904 0.135 10.236
P 10.031 5.833 5.769
P 7.169 0.812 12.837
P 10.763 4.685 12.902
P 8.540 0.781 5.699
O 1.594 2.568 10.582
O 0.909 1.347 3.480
O 1.503 0.969 12.728
O 2.254 2.254 5.546
O 3.969 4.816 4.477
O 5.024 6.632 11.571
O 4.066 4.556 6.997
O 5.331 6.752 9.022
O 4.121 4.624 1.951
O 5.306 6.615 14.099
O 5.814 7.295 3.223
O 3.823 3.737 10.386
O 7.063 8.207 5.637
O 2.911 0.962 0.561
O 2.983 1.070 7.649
O 3.707 2.230 12.643
O 5.039 4.458 12.772
O 5.837 5.875 5.745
O 7.194 7.488 10.571
O 4.361 2.552 3.425
O 5.745 3.348 5.486
O 7.179 5.763 12.619
O 4.437 0.934 5.565
O 8.632 8.218 12.781
O 7.068 5.016 3.325
O 8.494 7.431 3.457
O 5.061 1.394 10.570
O 6.437 3.771 10.550
O 6.455 2.178 12.649
O 8.527 5.717 5.527
O 5.752 0.279 3.303
O 9.895 7.351 10.320
O 7.135 2.510 3.428
O 8.649 5.072 10.387
O 7.890 3.708 8.409
O 7.899 3.738 1.301
O 7.001 0.990 5.705
O 9.848 5.941 12.815
O 6.613 0.214 8.936
O 10.357 6.631 1.944
O 10.406 6.573 7.022
O 11.594 8.536 14.019
O 10.668 6.584 4.477
O 11.811 8.481 11.465
O 8.619 2.550 10.555
O 9.337 3.787 3.384
O 9.951 3.399 12.615
O 9.246 2.166 5.471
O 8.716 1.032 12.846
O 10.704 4.423 5.727
O 13.668 8.447 4.334
O 11.508 4.650 14.183
O 11.740 4.859 11.620
O 11.582 4.578 9.087
O 9.045 0.059 6.884
O 9.157 0.197 1.808
O 11.890 3.732 3.218
O 9.963 0.335 10.454
! Crystal system = triclinic
! Polymorph energy (0 for the lowest one) = 0.012 eV per atom
! Symmetry = No. 1


4.
! MgCo5O8 | the Materials Project database | GGA+U | relaxed; values from VASP
&SYSTEM
  ibrav = 0, nat = 14, ntyp = 3
/
ATOMIC_SPECIES
Mg 24.30 Mg.upf
Co 58.93 Co.upf
O 16.00 O.upf
CELL_PARAMETERS angstrom
4.947 -3.139 0.000
4.947 3.139 0.000
-4.867 0.000 5.910
ATOMIC_POSITIONS angstrom
Mg 0.000 0.000 0.000
Co -2.387 0.000 4.169
Co 3.718 0.000 0.833
Co 5.034 1.492 2.839
Co 7.368 0.000 1.600
Co 5.034 -1.492 2.839
O 1.935 1.710 3.098
O 3.887 1.845 1.120
O 2.011 0.000 0.031
O -0.546 0.000 3.653
O 5.455 0.000 1.342
O 1.935 -1.710 3.098
O 3.887 -1.845 1.120
O 4.635 0.000 3.987
! Crystal system = monoclinic
! Polymorph energy (0 for the lowest one) = 0.247 eV per atom
! Symmetry = No. 8


5.
! Li9Mn2Co5O16 | the Materials Project database | GGA+U | relaxed; values from VASP
&SYSTEM
  ibrav = 0, nat = 32, ntyp = 4
/
ATOMIC_SPECIES
Li 6.94 Li.upf
Mn 54.94 Mn.upf
Co 58.93 Co.upf
O 16.00 O.upf
CELL_PARAMETERS angstrom
10.235 0.000 0.000
0.000 2.900 0.000
-3.470 0.000 9.689
ATOMIC_POSITIONS angstrom
Li 0.000 0.000 0.000
Li -1.762 0.000 4.963
Li -0.862 1.450 9.628
Li 0.816 1.450 5.016
Li 3.284 0.000 5.103
Li 2.519 1.450 7.365
Li 1.758 0.000 9.576
Li 4.143 1.450 9.664
Li 5.935 1.450 4.942
Mn 1.708 0.000 2.457
Mn 5.013 0.000 7.373
Co -0.881 1.450 2.470
Co -2.533 1.450 7.322
Co 0.155 0.000 7.256
Co 4.302 1.450 2.498
Co 6.788 0.000 2.522
O -0.017 0.000 3.433
O -1.814 0.000 8.445
O -0.901 1.450 6.196
O 0.987 1.450 1.377
O 2.399 1.450 3.562
O 1.572 0.000 6.127
O 0.735 1.450 8.460
O 3.315 0.000 1.442
O 5.097 0.000 3.649
O 5.983 1.450 1.369
O 3.526 0.000 8.455
O 4.345 1.450 6.264
O 5.860 1.450 8.428
O 7.632 1.450 3.608
O 6.735 0.000 6.291
O 8.609 0.000 1.430
! Crystal system = monoclinic
! Polymorph energy (0 for the lowest one) = 0.062 eV per atom
! Symmetry = No. 6


6.
! CeCr2O10 | the Materials Project database | GGA+U | relaxed; values from VASP
&SYSTEM
  ibrav = 0, nat = 26, ntyp = 3
/
ATOMIC_SPECIES
Ce 140.12 Ce.upf
Cr 52.00 Cr.upf
O 16.00 O.upf
CELL_PARAMETERS angstrom
5.938 0.000 0.000
0.000 10.922 0.000
-0.071 0.000 6.681
ATOMIC_POSITIONS angstrom
Ce 1.408 2.730 3.192
Ce 4.458 8.191 3.489
Cr 1.476 6.021 5.097
Cr 1.476 10.362 5.097
Cr 4.390 0.560 1.584
Cr 4.390 4.901 1.584
O 0.150 6.768 4.341
O 0.150 9.615 4.341
O 0.739 8.191 2.572
O 1.344 6.245 6.670
O 1.344 10.138 6.670
O 1.504 1.093 4.755
O 1.504 4.368 4.755
O 1.820 2.730 0.888
O 2.899 6.731 4.519
O 2.899 9.652 4.519
O 2.967 1.270 2.162
O 2.967 4.191 2.162
O 4.046 8.191 5.793
O 4.363 6.554 1.926
O 4.363 9.829 1.926
O 4.522 0.784 0.011
O 4.522 4.677 0.011
O 5.127 2.730 4.110
O 5.716 1.307 2.341
O 5.716 4.154 2.341
! Crystal system = monoclinic
! Symmetry = No. 11


7.
! KMnP3HO10 | the Materials Project database | GGA+U | relaxed; values from VASP
&SYSTEM
  ibrav = 0, nat = 64, ntyp = 5
/
ATOMIC_SPECIES
K 39.10 K.upf
Mn 54.94 Mn.upf
P 30.97 P.upf
H 1.01 H.upf
O 16.00 O.upf
CELL_PARAMETERS angstrom
7.302 0.000 0.000
-0.161 9.880 0.000
-2.165 -3.118 12.245
ATOMIC_POSITIONS angstrom
K 0.000 0.000 0.000
K 0.335 6.834 3.733
K 2.486 3.377 6.118
K 2.986 0.337 9.865
Mn 0.162 3.415 1.873
Mn -0.908 1.842 7.983
Mn 2.649 6.796 7.993
Mn 3.744 8.341 1.861
P -0.847 0.578 10.993
P 0.577 -0.835 6.946
P 0.566 4.601 9.079
P 2.264 5.596 0.783
P 2.412 1.145 2.889
P 1.501 6.504 11.112
P 3.805 7.077 4.870
P 5.231 5.664 0.822
P 5.377 1.219 2.956
P 4.912 -0.902 6.905
P 4.904 4.528 9.011
P 6.313 3.122 4.989
H 0.408 -1.371 11.048
H 1.522 0.201 4.886
H 5.060 5.129 4.926
H 4.019 3.595 11.001
O -1.879 -0.043 11.913
O -1.456 0.909 9.623
O -0.913 -1.499 6.999
O -0.921 5.198 8.990
O -0.361 2.785 6.353
O 0.049 3.736 4.067
O -0.415 2.042 11.587
O 1.448 4.888 1.863
O 0.532 0.539 7.630
O 0.969 -0.794 5.471
O 1.585 2.101 2.050
O 0.578 3.107 8.985
O 0.343 -2.601 11.214
O 0.475 -0.207 10.893
O 2.246 7.091 0.868
O 1.391 -1.788 7.813
O 2.016 1.105 4.380
O 2.459 -0.232 2.224
O 1.370 5.317 7.997
O 1.085 5.029 10.516
O 2.774 6.456 5.792
O 3.194 7.408 3.501
O 3.741 4.999 0.877
O 3.890 1.815 2.869
O 4.292 9.285 0.230
O 2.538 7.119 10.190
O 4.397 -1.339 5.464
O 4.097 -1.610 7.985
O 5.184 7.038 1.509
O 3.458 2.588 11.595
O 4.074 5.483 8.174
O 5.391 -0.274 2.863
O 4.995 3.899 5.091
O 5.128 6.292 4.770
O 4.895 0.593 6.990
O 6.045 4.713 1.692
O 4.509 4.491 10.503
O 4.948 3.151 8.348
O 6.183 1.936 1.875
O 5.897 1.648 4.393
! Crystal system = triclinic
! Symmetry = No. 1


8.
! KLaMnWO6 | the Materials Project database | GGA+U | relaxed; values from VASP
&SYSTEM
  ibrav = 0, nat = 20, ntyp = 5
/
ATOMIC_SPECIES
K 39.10 K.upf
La 138.91 La.upf
Mn 54.94 Mn.upf
W 183.84 W.upf
O 16.00 O.upf
CELL_PARAMETERS angstrom
5.728 0.000 0.000
0.000 5.762 0.000
-0.065 0.000 8.264
ATOMIC_POSITIONS angstrom
K 1.392 0.000 0.006
K 4.270 2.881 8.257
La 1.395 0.288 4.131
La 4.267 3.169 4.132
Mn 1.404 2.982 6.247
Mn 4.258 0.101 2.017
W 1.372 2.948 2.063
W 4.290 0.067 6.200
O 0.073 1.235 6.230
O 0.270 1.361 2.009
O 0.966 2.818 4.086
O 1.674 2.977 0.210
O 2.601 4.436 2.535
O 2.757 4.618 5.723
O 2.906 1.737 2.541
O 3.061 1.555 5.728
O 3.988 0.096 8.054
O 4.697 5.700 4.177
O 5.392 4.242 6.255
O 5.590 4.116 2.033
! Crystal system = monoclinic
! Polymorph energy (0 for the lowest one) = 0.000 eV per atom
! Symmetry = No. 4


9.
A plane-wave DFT calculation with GGA+U was carried out for a relaxed Li2MnAsCO7 crystal. Values from VASP.

Cell and atoms, written as Quantum ESPRESSO input:
```
&SYSTEM
  ibrav = 0, nat = 48, ntyp = 5
/
ATOMIC_SPECIES
O 16.00 O.upf
C 12.01 C.upf
Li 6.94 Li.upf
As 74.92 As.upf
Mn 54.94 Mn.upf
CELL_PARAMETERS angstrom
0.000 6.492 0.000
-8.530 0.000 5.121
8.936 0.000 5.374
ATOMIC_POSITIONS angstrom
O -1.098 1.623 2.558
O 2.955 2.943 4.310
O 1.088 1.623 6.681
O -0.681 4.869 3.814
O -0.479 4.869 9.061
O 2.955 0.303 4.309
O 0.885 1.623 1.435
O -7.439 4.870 4.780
O 4.218 1.623 7.282
O -3.225 1.623 4.239
O 6.184 6.189 6.311
O 6.184 3.549 6.312
O 1.301 4.869 2.689
O -0.888 1.623 5.589
O -3.810 4.870 3.212
O -0.894 1.623 7.806
O -5.101 4.869 6.130
O -5.778 2.943 4.181
O -4.516 1.623 7.156
O 7.845 1.623 5.714
O -2.549 3.550 6.187
O 5.508 1.623 4.365
O 3.631 4.869 6.256
O -2.549 6.189 6.187
O 1.503 4.869 7.936
O -5.778 0.304 4.181
O 4.923 4.869 3.339
O 1.295 4.869 4.907
C -0.180 1.623 6.729
C 0.587 4.869 3.767
C -0.384 1.623 1.481
C 0.789 4.869 9.014
Li 2.054 6.364 6.373
Li 1.851 3.375 1.126
Li -1.444 3.118 9.369
Li -1.648 3.118 4.121
Li 2.053 3.374 6.373
Li 1.851 6.364 1.126
Li -1.648 0.128 4.122
Li -1.444 0.128 9.369
As -4.829 1.623 3.645
As 3.904 1.623 3.773
As -3.498 4.869 6.722
As 5.236 4.869 6.848
Mn 6.001 1.622 6.502
Mn 3.139 4.869 4.117
Mn -2.732 1.623 6.378
Mn -5.595 4.870 3.991
```


Quick rundown of formation energy from the elements, same order as above: -1557; -1791; -2572; -1226; -1802; -1592; -2475; -2689; -2015 meV/atom